# Lu3Si

A geometry-optimized Lu3Si structure (GGA-PBE, the Materials Project).

## Properties
Excess energy over the best structure of this formula in the dataset = 13.7 meV per atom
ΔH_f (0 K) = -0.211 eV per atom
DFT total energy = -4.98 eV/atom

Cell: 5.8490 5.8490 5.8490 Å, 135.93 135.93 64.09°
Closest atoms and distances in Å follow each position.
Fractional positions:
1 Lu 0.0000 0.0000 0.0000  4 Si 3.10, 8 Lu 3.31
2 Lu 0.2500 0.7500 0.5000  8 Lu 3.10-3.31, 4 Si 3.31
3 Lu 0.7500 0.2500 0.5000  8 Lu 3.10-3.31, 4 Si 3.31
4 Si 0.5000 0.5000 0.0000  12 Lu 3.10-3.31